Material: LiMnPO5
Method: DFT, GGA+U
State: relaxed

Results
Formation enthalpy at 0 K: -2.3400 eV per atom
Electronic total energy: -219.36 eV for the cell shown
Energy above the most stable polymorph in this dataset: 8.8 meV per atom

Lattice parameters (Å, degrees): 5.180 6.938 10.276 76.83 98.12 72.53
Positions (direct):
Li 0.948 0.082 0.677
P 0.000 0.434 0.323
O 0.246 0.463 0.617
P 0.500 0.066 0.177
O 0.359 0.984 0.670
O 0.864 0.808 0.611
O 0.141 0.516 0.830
Mn 0.000 0.500 0.000
O 0.781 0.453 0.666
Mn 0.500 0.500 0.500
O 0.719 0.047 0.834
Mn 0.500 0.000 0.500
O 0.870 0.288 0.974
O 0.219 0.547 0.334
O 0.754 0.537 0.383
O 0.630 0.212 0.526
Li 0.448 0.582 0.177
O 0.636 0.692 0.889
O 0.137 0.193 0.389
O 0.254 0.037 0.883
P 0.500 0.934 0.823
O 0.370 0.788 0.474
O 0.641 0.016 0.330
P 0.000 0.566 0.677
Li 0.552 0.418 0.823
O 0.746 0.963 0.117
Li 0.052 0.918 0.323
O 0.281 0.953 0.166
O 0.363 0.308 0.111
O 0.859 0.484 0.170
Mn 0.000 0.000 0.000
O 0.130 0.712 0.026